! HoHO2 | the Materials Project database | PBE-GGA | relaxed; values from VASP
&SYSTEM
  ibrav = 0, nat = 8, ntyp = 3
/
ATOMIC_SPECIES
Ho 164.93 Ho.upf
H 1.01 H.upf
O 16.00 O.upf
CELL_PARAMETERS angstrom
4.304 0.000 0.000
0.000 3.647 0.000
-2.061 0.000 5.650
ATOMIC_POSITIONS crystal
Ho 0.163 0.250 0.311
Ho 0.837 0.750 0.689
H 0.487 0.750 0.096
H 0.513 0.250 0.904
O 0.250 0.750 0.068
O 0.266 0.750 0.549
O 0.734 0.250 0.451
O 0.750 0.250 0.932
! energy of formation: -3016 meV per atom
! SG: No. 11